Run A
Density functional theory data (GGA+U) for an optimized crystal structure of LiNi2P2O8.

Lattice parameters (Å, degrees): 10.1125 4.7738 5.8238 88.52 89.99 90.02
Atoms (fractional coordinates):
P 0.3511 0.0798 0.9986
O 0.4278 0.2210 0.7932
O 0.7057 0.3237 0.9981
O 0.5838 0.7211 0.2933
O 0.5912 0.7316 0.7066
Li 0.2587 0.4997 0.2570
O 0.4207 0.2321 0.2075
O 0.6502 0.2609 0.5114
O 0.8625 0.7391 0.9874
Li 0.7586 0.0002 0.7428
P 0.6614 0.5795 0.4977
O 0.0837 0.7788 0.7068
P 0.1614 0.9204 0.5023
Ni 0.9832 0.4781 0.5007
Ni 0.5291 0.5238 0.9988
O 0.8062 0.6791 0.5008
O 0.3625 0.7609 0.0125
Ni 0.0290 0.9764 0.0014
P 0.8511 0.4204 0.0014
O 0.3062 0.8209 0.4991
Ni 0.4832 0.0220 0.4993
O 0.1502 0.2390 0.4885
O 0.0912 0.7682 0.2935
O 0.9207 0.2679 0.7924
O 0.9278 0.2792 0.2068
O 0.2057 0.1762 0.0018

Summary:
V, Å³ per atom: 10.81
ρ, Mg/m³: 3.71

***

Run B
Density functional theory data (GGA+U) for an optimized crystal structure of LiNi2P2O8.

Lattice parameters (Å, degrees): 4.9783 10.0181 14.0299 90.00 90.00 90.00
Atoms (fractional coordinates):
O 0.1300 0.4958 0.1395
Ni 0.0580 0.0357 0.2480
O 0.0624 0.7098 0.2825
P 0.0538 0.2859 0.3715
O 0.4936 0.8246 0.1255
O 0.9220 0.2457 0.4649
Ni 0.4572 0.7310 0.9993
O 0.4234 0.4560 0.7123
O 0.5154 0.9590 0.5304
P 0.9462 0.7859 0.3715
O 0.5064 0.3246 0.1255
O 0.0624 0.7902 0.7825
O 0.4234 0.0440 0.2123
P 0.5618 0.5250 0.6241
O 0.3601 0.2608 0.3725
O 0.4846 0.4590 0.5304
O 0.9894 0.4369 0.3553
O 0.4936 0.6754 0.6255
P 0.9462 0.7141 0.8715
Li 0.4501 0.7260 0.2492
O 0.5766 0.9560 0.7123
O 0.9376 0.2902 0.7825
O 0.9376 0.2098 0.2825
O 0.5766 0.5440 0.2123
O 0.6399 0.7392 0.8725
O 0.5154 0.5410 0.0304
O 0.5064 0.1754 0.6255
O 0.6399 0.7608 0.3725
O 0.3601 0.2392 0.8725
Ni 0.4572 0.7690 0.4993
Ni 0.5428 0.2310 0.9993
Ni 0.9420 0.5357 0.2480
Ni 0.9420 0.9643 0.7480
O 0.9894 0.0631 0.8553
O 0.0780 0.7543 0.9649
O 0.0780 0.7457 0.4649
O 0.8700 0.5042 0.6395
P 0.4382 0.4750 0.1241
O 0.0106 0.9369 0.3553
Li 0.5499 0.2740 0.7492
O 0.9220 0.2543 0.9649
P 0.5618 0.9750 0.1241
Ni 0.0580 0.4643 0.7480
O 0.1300 0.0042 0.6395
O 0.0106 0.5631 0.8553
Li 0.4501 0.7740 0.7492
P 0.0538 0.2141 0.8715
Ni 0.5428 0.2690 0.4993
Li 0.5499 0.2260 0.2492
O 0.4846 0.0410 0.0304
P 0.4382 0.0250 0.6241
O 0.8700 0.9958 0.1395

Summary:
V, Å³ per atom: 13.46
ρ, Mg/m³: 2.98

***

Run C
Density functional theory data (GGA+U) for an optimized crystal structure of LiNi2P2O8.

Lattice parameters (Å, degrees): 5.0532 8.4375 16.6029 80.66 90.00 90.00
Atoms (fractional coordinates):
O 0.1970 0.9076 0.3601
O 0.6205 0.7747 0.4236
O 0.7639 0.8460 0.0128
P 0.8068 0.6859 0.6823
Li 0.3296 0.0084 0.2519
O 0.7499 0.0916 0.1141
O 0.8167 0.6200 0.9374
O 0.2248 0.1167 0.9514
Ni 0.3313 0.3645 0.1246
O 0.6439 0.8466 0.6700
O 0.7550 0.5975 0.6096
O 0.3101 0.3464 0.6685
O 0.2797 0.5781 0.2618
O 0.8755 0.1934 0.6970
Ni 0.6687 0.3645 0.6246
Ni 0.1764 0.9733 0.8734
O 0.6020 0.2976 0.9032
Li 0.1671 0.6115 0.9944
Ni 0.8236 0.9733 0.3734
O 0.1833 0.6200 0.4374
O 0.2501 0.0916 0.6141
O 0.8969 0.7324 0.1892
O 0.6899 0.3464 0.1685
P 0.8198 0.1806 0.1882
O 0.1245 0.1934 0.1970
P 0.6820 0.7895 0.9327
O 0.3561 0.8466 0.1700
O 0.2942 0.0723 0.7652
O 0.8030 0.9076 0.8601
Ni 0.3078 0.8753 0.6184
O 0.1473 0.3906 0.8600
P 0.1932 0.6859 0.1823
O 0.2712 0.3810 0.0069
Ni 0.1909 0.4711 0.3641
Ni 0.8091 0.4711 0.8641
Li 0.8329 0.6115 0.4944
P 0.6938 0.2934 0.4330
O 0.7288 0.3810 0.5069
O 0.2361 0.8460 0.5128
O 0.7203 0.5781 0.7618
O 0.3795 0.7747 0.9236
O 0.7058 0.0723 0.2652
P 0.3180 0.7895 0.4327
P 0.3062 0.2934 0.9330
P 0.1802 0.1806 0.6882
Li 0.6704 0.0084 0.7519
O 0.7752 0.1167 0.4514
O 0.3980 0.2976 0.4032
Ni 0.6922 0.8753 0.1184
O 0.1031 0.7324 0.6892
O 0.2450 0.5975 0.1096
O 0.8527 0.3906 0.3600

Summary:
V, Å³ per atom: 13.43
ρ, Mg/m³: 2.99

***

Which one sits at the top of the stability order? run A does.

***

Run A
Density functional theory data (GGA+U) for an optimized crystal structure of Li5Ni2P3O12.

Lattice parameters (Å, degrees): 8.7398 8.6267 12.2875 89.20 90.00 90.00
Atoms (fractional coordinates):
O 0.1793 0.7952 0.6430
P 0.3941 0.1439 0.5996
O 0.8717 0.8412 0.6728
Li 0.2693 0.3776 0.9940
O 0.4799 0.4530 0.9566
O 0.5189 0.6263 0.4899
O 0.3165 0.2918 0.1441
Li 0.1588 0.8457 0.2754
O 0.6266 0.7061 0.6933
Li 0.4849 0.3127 0.4052
O 0.4752 0.8826 0.0076
O 0.6221 0.3508 0.1776
O 0.7451 0.4284 0.5710
Li 0.6588 0.1543 0.7246
O 0.8622 0.2042 0.1901
O 0.0877 0.8174 0.0593
Li 0.1827 0.4051 0.7577
O 0.2271 0.1013 0.5679
O 0.5507 0.9530 0.1946
O 0.4707 0.5665 0.2978
O 0.1104 0.3223 0.8869
Li 0.5200 0.1800 0.1006
P 0.7490 0.2961 0.2582
O 0.7669 0.4093 0.9432
O 0.7607 0.9088 0.0568
P 0.1006 0.1419 0.9037
O 0.9707 0.4335 0.7022
P 0.8984 0.3528 0.6030
Li 0.5942 0.8206 0.5544
O 0.3717 0.1588 0.3272
O 0.5877 0.1826 0.9407
Li 0.6827 0.5949 0.2423
O 0.9799 0.5470 0.0434
P 0.2490 0.7039 0.7418
O 0.2451 0.5716 0.4290
O 0.5114 0.0419 0.5355
O 0.2607 0.0912 0.9432
O 0.6763 0.9516 0.8020
Li 0.7695 0.0444 0.9338
O 0.1266 0.2939 0.3067
P 0.1072 0.6448 0.0980
Li 0.0200 0.8200 0.8994
O 0.4199 0.3163 0.5621
O 0.3622 0.7958 0.8099
Ni 0.9472 0.5047 0.8606
O 0.6793 0.2048 0.3570
P 0.3984 0.6472 0.3970
O 0.6056 0.3655 0.7775
O 0.0507 0.0470 0.8054
Ni 0.9515 0.9975 0.1385
Li 0.4059 0.6764 0.9454
Ni 0.5341 0.0001 0.3543
Ni 0.5427 0.4975 0.6462
O 0.0189 0.3737 0.5101
Li 0.9059 0.3236 0.0546
Li 0.9849 0.6873 0.5948
O 0.9199 0.6837 0.4379
O 0.9218 0.8749 0.2786
O 0.8661 0.1757 0.6221
O 0.1221 0.6492 0.8224
O 0.3661 0.8243 0.3779
P 0.7457 0.7986 0.7566
O 0.7271 0.8987 0.4321
P 0.2457 0.2014 0.2434
P 0.6006 0.8581 0.0963
O 0.0114 0.9581 0.4645
P 0.8941 0.8561 0.4004
O 0.9752 0.1174 0.9924
Ni 0.0341 0.9999 0.6457
Li 0.7374 0.5492 0.4461
O 0.1763 0.0484 0.1980
Li 0.7693 0.6224 0.0060
Li 0.2359 0.8953 0.5018
Li 0.2374 0.4508 0.5539
O 0.4218 0.1251 0.7214
O 0.8196 0.4484 0.3061
O 0.1056 0.6345 0.2225
P 0.6072 0.3552 0.9020
Ni 0.4515 0.0025 0.8615
Li 0.7359 0.1047 0.4982
O 0.8165 0.7082 0.8559
O 0.6104 0.6777 0.1131
O 0.2669 0.5907 0.0568
O 0.3196 0.5516 0.6939
Ni 0.0427 0.5025 0.3538
Li 0.2695 0.9556 0.0662
Ni 0.4472 0.4953 0.1394
Li 0.0942 0.1794 0.4456

Summary:
V, Å³ per atom: 10.53
ρ, Mg/m³: 3.13

***

Run B
Density functional theory data (GGA+U) for an optimized crystal structure of Li5Ni2P3O12.

Lattice parameters (Å, degrees): 8.3187 8.3593 9.1747 63.42 63.34 60.19
Atoms (fractional coordinates):
Li 0.7278 0.0732 0.8668
Li 0.3072 0.7249 0.8985
P 0.7462 0.4553 0.7567
O 0.4521 0.8482 0.9018
Li 0.0769 0.3128 0.8879
Li 0.1002 0.5376 0.5795
Li 0.2722 0.9268 0.1332
O 0.0012 0.7989 0.5878
Ni 0.8572 0.8732 0.4243
O 0.4062 0.9997 0.4131
O 0.8367 0.1455 0.2677
Ni 0.1428 0.1268 0.5757
O 0.5479 0.1518 0.0982
O 0.1999 0.5437 0.1009
O 0.9988 0.2011 0.4122
O 0.5938 0.0003 0.5869
Ni 0.6544 0.6537 0.0435
P 0.0452 0.7451 0.7516
O 0.1439 0.2063 0.0978
Li 0.9231 0.6872 0.1121
O 0.4989 0.8372 0.1936
O 0.4747 0.4845 0.1985
Li 0.8998 0.4624 0.4205
O 0.8345 0.4753 0.2046
O 0.2464 0.1547 0.7331
Li 0.4838 0.2136 0.4085
O 0.7536 0.8453 0.2669
P 0.4531 0.0424 0.7574
P 0.2538 0.5447 0.2433
O 0.1387 0.7482 0.2659
O 0.1633 0.8545 0.7323
O 0.8001 0.4563 0.8991
O 0.1655 0.5247 0.7954
O 0.8613 0.2518 0.7341
P 0.9548 0.2549 0.2484
Ni 0.3456 0.3463 0.9565
O 0.5011 0.1628 0.8064
Li 0.5162 0.7864 0.5915
O 0.8066 0.6019 0.5837
O 0.5253 0.5155 0.8015
P 0.5469 0.9576 0.2426
O 0.1934 0.3981 0.4163
Li 0.6928 0.2751 0.1015
O 0.8561 0.7937 0.9022

Summary:
V, Å³ per atom: 10.76
ρ, Mg/m³: 3.06

***

Which one sits at the top of the stability order? run A does.